1.
Below is a geometry-optimized Li7Mo12Se16 structure, with properties calculated at the r²SCAN level.

```
data_Li7Mo12Se16
_chemical_formula_sum 'Li7 Mo12 Se16'
_space_group_name_H-M_alt 'P 1'
_space_group_IT_number 1
_cell_length_a 6.9898
_cell_length_b 6.9918
_cell_length_c 13.9629
_cell_angle_alpha 94.92
_cell_angle_beta 94.89
_cell_angle_gamma 94.82
loop_
_space_group_symop_operation_xyz
'x,y,z'
loop_
_atom_site_label
_atom_site_type_symbol
_atom_site_fract_x
_atom_site_fract_y
_atom_site_fract_z
Li1 Li 0.0000 0.0000 0.0000
Li2 Li 0.0074 0.4056 0.2107
Li3 Li 0.0404 0.9602 0.4083
Li4 Li 0.0502 0.5755 0.6892
Li5 Li 0.4202 0.0045 0.6876
Li6 Li 0.4551 0.9932 0.1923
Li7 Li 0.8981 0.0706 0.7233
Mo1 Mo 0.2689 0.5254 0.9080
Mo2 Mo 0.2712 0.5213 0.4096
Mo3 Mo 0.4384 0.2247 0.4736
Mo4 Mo 0.4393 0.2285 0.9714
Mo5 Mo 0.4802 0.5649 0.5785
Mo6 Mo 0.4818 0.5650 0.0781
Mo7 Mo 0.5673 0.3951 0.3250
Mo8 Mo 0.5676 0.3969 0.8237
Mo9 Mo 0.6077 0.7349 0.4295
Mo10 Mo 0.6097 0.7322 0.9305
Mo11 Mo 0.7757 0.4364 0.4936
Mo12 Mo 0.7797 0.4373 0.9934
Se1 Se 0.1483 0.3486 0.5561
Se2 Se 0.1496 0.3576 0.0543
Se3 Se 0.2330 0.1948 0.8070
Se4 Se 0.2347 0.1878 0.3058
Se5 Se 0.3132 0.8551 0.5144
Se6 Se 0.3156 0.8553 0.0136
Se7 Se 0.3962 0.6848 0.2648
Se8 Se 0.4006 0.6908 0.7638
Se9 Se 0.6502 0.2705 0.6394
Se10 Se 0.6529 0.2724 0.1386
Se11 Se 0.7280 0.1056 0.3877
Se12 Se 0.7349 0.1039 0.8872
Se13 Se 0.8094 0.7728 0.5951
Se14 Se 0.8123 0.7619 0.0982
Se15 Se 0.8979 0.6061 0.8470
Se16 Se 0.8991 0.6077 0.3477
```

Calculated values
The calculation puts the calculated density at 6.06 g/cm3. The total energy comes out at -589.18 eV for the cell shown. Its energy of formation is -0.875 eV/atom.

***

2.
Below is a geometry-optimized Li3N structure, with properties calculated at the r²SCAN level.

```
data_Li3N
_chemical_formula_sum 'Li3 N1'
_space_group_name_H-M_alt 'P 6/m m m'
_space_group_IT_number 191
_space_group_name_Hall '-P 6 2'
_cell_length_a 3.6097
_cell_length_b 3.6097
_cell_length_c 3.8546
_cell_angle_alpha 90.00
_cell_angle_beta 90.00
_cell_angle_gamma 120.00
loop_
_atom_site_label
_atom_site_type_symbol
_atom_site_fract_x
_atom_site_fract_y
_atom_site_fract_z
Li1 Li 0.0000 0.0000 0.0000
Li2 Li 0.3333 0.6667 0.5000
N1 N 0.0000 0.0000 0.5000
```

Calculated values
The calculation puts the calculated density at 1.33 g/cm3. The total energy comes out at -18.22 eV for the cell shown. Its energy of formation is -0.483 eV/atom.